Entry 1:
Material: La5Sn3
Method: DFT, r2SCAN
State: optimized geometry

Cell: 9.645 9.645 9.645 Å, 96.43 96.43 140.90°
Positions (direct):
La 0.083 0.785 0.868
La 0.215 0.083 0.299
La 0.250 0.750 0.500
La 0.285 0.583 0.868
La 0.417 0.285 0.701
La 0.583 0.715 0.299
La 0.715 0.417 0.132
La 0.750 0.250 0.500
La 0.785 0.917 0.701
La 0.917 0.215 0.132
Sn 0.160 0.340 0.500
Sn 0.250 0.250 0.000
Sn 0.340 0.840 0.180
Sn 0.660 0.160 0.820
Sn 0.750 0.750 0.000
Sn 0.840 0.660 0.500

Summary:
For the calculated volume, the calculation gives 533.2 Å³/cell. Its electronic total energy is -28.71 eV/atom. As for the symmetry: I4/mcm, No. 140.


Entry 2:
Material: La3Sn5
Method: DFT, r2SCAN
State: optimized geometry

Cell: 6.711 6.711 10.686 Å, 90.00 90.00 77.49°
Positions (direct):
La 0.139 0.861 0.750
La 0.298 0.298 0.000
La 0.298 0.298 0.500
La 0.702 0.702 0.000
La 0.702 0.702 0.500
La 0.861 0.139 0.250
Sn 0.009 0.575 0.250
Sn 0.179 0.821 0.050
Sn 0.179 0.821 0.450
Sn 0.425 0.991 0.250
Sn 0.469 0.531 0.250
Sn 0.531 0.469 0.750
Sn 0.575 0.009 0.750
Sn 0.821 0.179 0.550
Sn 0.821 0.179 0.950
Sn 0.991 0.425 0.750

Summary:
For the calculated volume, the calculation gives 469.9 Å³/cell. Its electronic total energy is -27.42 eV/atom. As for the symmetry: Cmcm, No. 63.


Entry 3:
Material: La2Tl3Sn3
Method: DFT, r2SCAN
State: optimized geometry

Cell: 4.789 4.820 9.807 Å, 90.00 90.00 90.00°
Positions (direct):
La 0.000 0.000 0.242
La 0.000 0.000 0.758
Tl 0.000 0.500 0.500
Tl 0.500 0.000 0.000
Tl 0.500 0.000 0.500
Sn 0.000 0.500 0.000
Sn 0.500 0.500 0.245
Sn 0.500 0.500 0.755

Summary:
For the calculated volume, the calculation gives 226.4 Å³/cell. Its electronic total energy is -37.18 eV/atom. As for the symmetry: Pmmm, No. 47.


Entry 4:
Material: LaZnSn
Method: DFT, r2SCAN
State: optimized geometry

Cell: 4.587 4.587 17.308 Å, 90.00 90.00 120.00°
Positions (direct):
La 0.000 0.000 0.000
La 0.000 0.000 0.250
La 0.000 0.000 0.500
La 0.000 0.000 0.750
Zn 0.333 0.667 0.156
Zn 0.333 0.667 0.344
Zn 0.667 0.333 0.656
Zn 0.667 0.333 0.844
Sn 0.333 0.667 0.617
Sn 0.333 0.667 0.883
Sn 0.667 0.333 0.117
Sn 0.667 0.333 0.383

Summary:
For the calculated volume, the calculation gives 315.3 Å³/cell. Its electronic total energy is -21.91 eV/atom. As for the symmetry: P6_3/mmc, No. 194.


Entry 5:
Material: LaTe
Method: DFT, r2SCAN
State: optimized geometry

Cell: 6.494 6.494 6.494 Å, 90.00 90.00 90.00°
Positions (direct):
La 0.000 0.000 0.000
La 0.000 0.500 0.500
La 0.500 0.000 0.500
La 0.500 0.500 0.000
Te 0.000 0.000 0.500
Te 0.000 0.500 0.000
Te 0.500 0.000 0.000
Te 0.500 0.500 0.500

Summary:
For the calculated volume, the calculation gives 273.9 Å³/cell. Its electronic total energy is -29.42 eV/atom. As for the symmetry: Fm-3m, No. 225.


Entry 6:
Material: LaTe3
Method: DFT, r2SCAN
State: optimized geometry

Cell: 4.428 27.172 4.431 Å, 90.00 90.00 90.00°
Positions (direct):
La 0.000 0.171 0.250
La 0.000 0.829 0.750
La 0.500 0.329 0.750
La 0.500 0.671 0.250
Te 0.000 0.073 0.750
Te 0.000 0.295 0.250
Te 0.000 0.427 0.750
Te 0.000 0.573 0.250
Te 0.000 0.705 0.750
Te 0.000 0.927 0.250
Te 0.500 0.073 0.250
Te 0.500 0.205 0.750
Te 0.500 0.427 0.250
Te 0.500 0.573 0.750
Te 0.500 0.795 0.250
Te 0.500 0.927 0.750

Summary:
For the calculated volume, the calculation gives 533.2 Å³/cell. Its electronic total energy is -27.74 eV/atom. As for the symmetry: Cmcm, No. 63.


Entry 7:
Material: LaTl9Te6
Method: DFT, r2SCAN
State: optimized geometry

Cell: 9.286 9.286 9.286 Å, 121.76 121.76 86.99°
Positions (direct):
La 0.000 0.000 0.000
Tl 0.007 0.515 0.204
Tl 0.197 0.993 0.507
Tl 0.310 0.803 0.796
Tl 0.485 0.690 0.493
Tl 0.500 0.500 0.000
Tl 0.515 0.310 0.507
Tl 0.690 0.197 0.204
Tl 0.803 0.007 0.493
Tl 0.993 0.485 0.796
Te 0.153 0.328 0.481
Te 0.239 0.239 0.000
Te 0.328 0.847 0.175
Te 0.672 0.153 0.825
Te 0.761 0.761 0.000
Te 0.847 0.672 0.519

Summary:
For the calculated volume, the calculation gives 550.3 Å³/cell. Its electronic total energy is -41.92 eV/atom. As for the symmetry: I4/m, No. 87.


Entry 8:
Material: LaUTe6
Method: DFT, r2SCAN
State: optimized geometry

Cell: 4.417 4.417 26.469 Å, 90.00 90.00 90.00°
Positions (direct):
La 0.000 0.000 0.000
La 0.000 0.500 0.500
U 0.500 0.000 0.663
U 0.500 0.500 0.163
Te 0.000 0.000 0.128
Te 0.000 0.000 0.402
Te 0.000 0.000 0.756
Te 0.000 0.500 0.256
Te 0.000 0.500 0.628
Te 0.000 0.500 0.902
Te 0.500 0.000 0.256
Te 0.500 0.000 0.538
Te 0.500 0.000 0.902
Te 0.500 0.500 0.038
Te 0.500 0.500 0.402
Te 0.500 0.500 0.756

Summary:
For the calculated volume, the calculation gives 516.4 Å³/cell. Its electronic total energy is -33.81 eV/atom. As for the symmetry: Amm2, No. 38.


Entry 9:
Material: LaTl
Method: DFT, r2SCAN
State: optimized geometry

Cell: 3.972 3.972 3.972 Å, 90.00 90.00 90.00°
Positions (direct):
La 0.000 0.000 0.000
Tl 0.500 0.500 0.500

Summary:
For the calculated volume, the calculation gives 62.7 Å³/cell. Its electronic total energy is -42.00 eV/atom. As for the symmetry: Pm-3m, No. 221.


Entry 10:
Material: La3Tl
Method: DFT, r2SCAN
State: optimized geometry

Cell: 5.090 5.090 5.090 Å, 90.00 90.00 90.00°
Positions (direct):
La 0.000 0.000 0.500
La 0.000 0.500 0.000
La 0.500 0.000 0.000
Tl 0.500 0.500 0.500

Summary:
For the calculated volume, the calculation gives 131.9 Å³/cell. Its electronic total energy is -35.92 eV/atom. As for the symmetry: Pm-3m, No. 221.


Entry 11:
Material: La3Tl
Method: DFT, r2SCAN
State: optimized geometry

Cell: 4.980 4.980 10.510 Å, 90.00 90.00 90.00°
Positions (direct):
La 0.000 0.000 0.000
La 0.000 0.500 0.250
La 0.000 0.500 0.750
La 0.500 0.000 0.250
La 0.500 0.000 0.750
La 0.500 0.500 0.500
Tl 0.000 0.000 0.500
Tl 0.500 0.500 0.000

Summary:
For the calculated volume, the calculation gives 260.6 Å³/cell. Its electronic total energy is -35.90 eV/atom. As for the symmetry: I4/mmm, No. 139.


Entry 12:
Material: LaTmTl2
Method: DFT, r2SCAN
State: optimized geometry

Cell: 7.709 7.709 7.709 Å, 90.00 90.00 90.00°
Positions (direct):
La 0.000 0.000 0.000
La 0.000 0.500 0.500
La 0.500 0.000 0.500
La 0.500 0.500 0.000
Tm 0.000 0.000 0.500
Tm 0.000 0.500 0.000
Tm 0.500 0.000 0.000
Tm 0.500 0.500 0.500
Tl 0.250 0.250 0.250
Tl 0.250 0.250 0.750
Tl 0.250 0.750 0.250
Tl 0.250 0.750 0.750
Tl 0.750 0.250 0.250
Tl 0.750 0.250 0.750
Tl 0.750 0.750 0.250
Tl 0.750 0.750 0.750

Summary:
For the calculated volume, the calculation gives 458.2 Å³/cell. Its electronic total energy is -43.27 eV/atom. As for the symmetry: Fm-3m, No. 225.


What did we get for energy relative to the elements? Answer: -648.3; -615.3; -403.8; -223.4; -354.0; -478.7; -947.4; -803.5; -104.4; -122.3; -114.7; -178.7 kJ/mol of formula units, in the order shown.